Computed, not measured: a relaxed structure of TlFeMo2O8 at the GGA+U level of DFT.

Cell and atoms, written as extended XYZ:
```
48
Lattice="-0.696 5.562 -1.445 -5.557 -2.408 -6.593 -11.716 1.003 9.508" Properties=species:S:1:pos:R:3 pbc="T T T"
Tl -13.256 3.999 4.389
Tl -4.713 0.158 -2.919
Tl -5.310 4.402 2.112
Tl -12.659 -0.245 -0.643
Fe -8.478 0.112 -1.282
Fe -15.005 0.324 2.679
Fe -9.491 4.045 2.751
Fe -2.964 3.833 -1.210
Mo -8.266 -0.793 -4.870
Mo -7.306 1.147 2.139
Mo -11.373 0.901 3.148
Mo -5.317 2.286 -6.031
Mo -12.652 1.871 7.500
Mo -10.663 3.010 -0.669
Mo -9.703 4.951 6.339
Mo -6.596 3.257 -1.679
O -9.821 3.503 0.821
O -2.216 2.188 -2.130
O -15.406 -0.800 4.319
O -4.771 3.420 -1.929
O -11.123 5.263 2.661
O -11.318 2.322 8.592
O -3.663 5.456 -0.192
O -9.110 4.580 4.627
O -10.789 2.594 3.354
O -14.640 1.371 0.968
O -8.859 -0.423 -3.158
O -11.441 4.714 6.266
O -8.275 5.522 2.077
O -6.849 3.664 0.009
O -13.198 0.737 3.399
O -3.329 2.786 0.501
O -6.651 1.836 -7.122
O -10.041 1.405 -1.328
O -9.694 -1.365 -0.608
O -8.148 0.655 0.648
O -15.753 1.970 3.599
O -6.528 -0.557 -4.797
O -7.180 1.564 -1.885
O -5.583 1.286 1.842
O -7.928 2.753 2.797
O -2.563 4.957 -2.850
O -12.386 2.872 -0.372
O -12.031 1.532 5.896
O -6.846 -1.106 -1.191
O -5.938 2.626 -4.426
O -11.120 0.494 1.460
O -14.306 -1.299 1.662
```

Values from the calculation:
volume	16.326	Å³/atom
spin magnetization	20.16	μB per cell
E	-6.659	eV/atom

Computed, not measured: a relaxed structure of CrPb5O8 at the GGA+U level of DFT.

Cell and atoms, written as extended XYZ:
```
112
Lattice="11.987 0.000 0.000 0.000 11.980 0.000 0.000 0.290 15.147" Properties=species:S:1:pos:R:3 pbc="T T T"
Cr 4.689 2.058 8.686
Cr 1.305 8.047 8.686
Cr 7.299 10.212 6.461
Cr 1.172 7.811 1.073
Cr 4.822 1.821 1.073
Cr 7.165 10.448 14.074
Cr 10.682 4.222 6.461
Cr 10.816 4.458 14.074
Pb 7.033 4.731 2.863
Pb 0.647 1.414 0.950
Pb 9.118 1.532 12.261
Pb 4.954 7.539 12.284
Pb 6.972 10.388 2.879
Pb 8.860 1.204 0.944
Pb 11.012 4.659 10.211
Pb 2.866 5.076 14.203
Pb 11.009 4.398 2.879
Pb 0.831 1.455 8.486
Pb 5.347 7.403 0.950
Pb 6.824 4.825 6.660
Pb 10.938 10.896 10.438
Pb 11.341 10.856 14.197
Pb 1.040 1.549 12.284
Pb 7.042 4.906 10.438
Pb 10.948 10.721 2.863
Pb 9.041 1.413 4.450
Pb 8.924 1.522 8.711
Pb 8.863 7.522 12.261
Pb 5.016 1.882 12.267
Pb 6.969 10.649 10.211
Pb 5.163 7.445 8.486
Pb 2.946 10.857 10.697
Pb 3.064 10.748 6.436
Pb 0.978 7.872 12.267
Pb 3.124 4.748 2.885
Pb 3.048 4.867 10.697
Pb 11.157 10.815 6.660
Pb 1.049 1.374 4.709
Pb 2.870 10.738 2.885
Pb 9.121 7.194 0.944
Pb 4.945 7.364 4.709
Pb 0.975 7.611 4.936
Pb 8.940 7.403 4.450
Pb 2.930 4.758 6.436
Pb 6.640 4.866 14.197
Pb 3.128 11.066 14.203
Pb 5.018 1.621 4.936
Pb 9.057 7.512 8.711
O 4.803 3.505 1.084
O 2.434 8.000 9.930
O 4.793 6.332 14.326
O 11.929 7.256 9.191
O 0.662 7.608 14.705
O 3.297 0.462 12.392
O 5.052 3.662 8.394
O 7.184 8.765 14.063
O 3.287 1.248 1.370
O 0.972 11.983 2.794
O 8.086 8.703 10.443
O 8.118 8.451 2.596
O 3.869 3.819 12.551
O 10.926 0.210 4.763
O 5.845 1.301 2.289
O 9.895 2.713 10.443
O 9.290 5.818 2.754
O 1.961 7.372 7.293
O 3.269 0.253 4.650
O 5.021 5.993 2.794
O 0.149 7.291 2.289
O 5.935 11.004 5.956
O 0.942 9.652 8.394
O 5.332 1.618 14.705
O 4.032 1.382 7.293
O 6.143 10.968 12.858
O 4.852 6.049 6.662
O 4.932 6.070 10.384
O 11.015 0.287 12.353
O 7.955 10.888 7.854
O 9.554 4.270 5.217
O 10.797 2.775 14.063
O 2.697 6.452 12.392
O 2.093 9.556 4.703
O 1.190 9.495 1.084
O 10.026 4.898 7.854
O 8.691 11.808 2.754
O 8.427 10.260 5.217
O 9.281 5.031 13.777
O 9.863 2.461 2.596
O 11.046 2.618 6.752
O 8.719 12.017 10.496
O 0.058 5.014 5.956
O 7.136 6.221 8.485
O 1.062 12.060 10.384
O 6.052 1.266 9.191
O 11.838 4.979 12.858
O 3.901 3.566 4.703
O 8.700 11.021 13.777
O 2.124 9.809 12.551
O 3.560 2.010 9.930
O 6.966 6.277 12.353
O 7.055 6.200 4.763
O 1.142 12.038 6.662
O 2.707 7.238 1.370
O 6.935 8.607 6.752
O 6.655 10.652 0.442
O 7.194 5.938 0.821
O 10.787 11.928 0.821
O 1.201 0.342 14.326
O 9.262 6.027 10.496
O 11.326 4.662 0.442
O 10.845 0.231 8.485
O 2.725 6.243 4.650
```

Values from the calculation:
volume	19.421	Å³/atom
spin magnetization	0.00	μB per cell
E	-5.905	eV/atom

Computed, not measured: a relaxed structure of LiFe8O14F2 at the GGA+U level of DFT.

Cell and atoms, written as extended XYZ:
```
25
Lattice="-2.179 -5.723 -4.003 -7.007 1.890 -0.985 3.237 3.297 -3.119" Properties=species:S:1:pos:R:3 pbc="T T T"
Li 1.476 1.905 -2.599
Fe -1.677 -2.113 -4.789
Fe -4.858 2.156 -6.125
Fe -0.736 0.710 -2.887
Fe -5.373 -1.296 -5.303
Fe -4.491 -1.933 -2.544
Fe -8.943 -3.695 -5.013
Fe -4.109 1.538 -3.369
Fe -3.385 0.950 -0.591
O -2.112 -4.120 -5.325
O -0.820 -1.977 -6.579
O -2.552 -2.333 -3.055
O 1.311 0.227 -3.386
O -1.286 -0.191 -4.505
O -5.173 -2.825 -4.153
O -5.257 0.260 -6.390
O -0.593 2.272 -4.069
O -4.585 -0.436 -3.735
O -7.212 -0.931 -4.673
O -2.568 1.058 -2.362
O -3.288 1.751 -5.074
O -4.970 1.517 -1.647
O -3.725 3.631 -2.975
F -3.318 -1.636 -5.915
F -0.651 -0.906 -1.583
```

Values from the calculation:
volume	10.642	Å³/atom
spin magnetization	35.00	μB per cell
E	-6.100	eV/atom

Computed, not measured: a relaxed structure of Li8Mn7CuP12O48 at the GGA+U level of DFT.

Cell and atoms, written as extended XYZ:
```
76
Lattice="-3.352 -7.658 -1.733 -1.655 -1.421 8.539 -10.805 4.986 -1.213" Properties=species:S:1:pos:R:3 pbc="T T T"
Li -3.883 -1.781 5.556
Li -10.849 1.332 5.258
Li -4.758 -0.925 1.033
Li -8.767 0.836 1.080
Li -7.045 -4.913 4.510
Li -11.058 -3.158 4.541
Li -4.965 -5.428 0.337
Li -11.904 -2.336 0.043
Mn -9.039 -0.212 7.043
Mn -5.884 -0.751 3.655
Mn -2.118 -1.426 -0.256
Mn -11.173 1.832 2.469
Mn -4.642 -5.922 3.127
Mn -13.695 -2.674 5.854
Mn -6.765 -3.884 -1.455
Cu -9.922 -3.376 1.926
P -2.574 -0.647 3.001
P -9.714 3.291 -0.334
P -9.293 -0.669 3.710
P -6.600 -2.550 6.544
P -9.196 -1.559 -0.934
P -6.526 -3.429 1.879
P -13.249 -3.446 2.600
P -6.097 -7.386 5.924
P -5.921 1.885 1.425
P -13.615 0.343 4.430
P -12.996 0.543 -0.046
P -9.885 -5.969 4.136
O -5.860 0.750 4.877
O -7.828 1.185 6.547
O -3.455 -1.085 7.359
O -10.366 2.761 4.030
O -7.051 1.612 0.355
O -5.540 0.531 2.025
O -1.536 -1.668 3.437
O -11.097 3.580 -0.953
O -2.833 -0.687 1.464
O -9.776 2.511 0.969
O -3.881 -0.954 3.786
O -10.564 1.090 7.112
O -4.055 -1.131 -0.711
O -9.728 0.463 2.732
O -9.710 -0.294 5.172
O -5.806 -2.104 5.325
O -7.785 -0.813 3.563
O -7.807 -1.639 6.868
O -3.525 -3.521 6.489
O -12.247 0.884 4.020
O -8.675 -0.107 -0.666
O -5.761 -2.112 2.213
O -2.518 -3.192 0.320
O -12.050 0.744 1.135
O -3.754 -4.835 4.457
O -13.297 -0.911 5.278
O -10.046 -1.980 3.413
O -7.124 -3.993 6.266
O -3.558 -4.991 1.579
O -12.282 -0.582 -0.890
O -7.996 -2.463 -1.263
O -8.011 -3.231 2.063
O -6.089 -3.787 0.420
O -9.990 -1.999 0.305
O -6.066 -4.553 2.857
O -11.754 -2.975 6.328
O -5.245 -5.186 -1.522
O -11.966 -3.095 1.811
O -6.040 -6.599 4.623
O -12.986 -3.417 4.141
O -14.314 -2.441 2.186
O -4.711 -7.674 6.542
O -10.289 -4.614 3.509
O -8.769 -5.675 5.205
O -12.354 -3.009 -1.769
O -5.455 -6.856 1.569
O -7.959 -5.276 -0.958
O -10.003 -4.844 0.655
```

Values from the calculation:
volume	11.839	Å³/atom
spin magnetization	26.00	μB per cell
E	-6.910	eV/atom